Entry 1:
A relaxed structure of FePO4. Source: Materials Project, functional PBE+U.

Its size of the total moment is 0.83 μB per atom. The space group is No. 7. The calculation puts the formation energy at -2.241 eV per atom. For the calculated total energy, the calculation gives -7.02 eV/atom. The energy with MP2020 corrections comes out at -188.49 eV/cell.

```
FePO4
1.0
7.961 0.000 0.000
0.000 5.333 0.000
-2.164 0.000 8.502
Fe P O
4 4 16
direct
0.000 0.143 0.000 Fe
0.000 0.857 0.500 Fe
0.486 0.318 0.290 Fe
0.486 0.682 0.790 Fe
0.231 0.185 0.748 P
0.231 0.815 0.248 P
0.722 0.336 0.043 P
0.722 0.664 0.543 P
0.089 0.166 0.591 O
0.089 0.834 0.091 O
0.151 0.270 0.883 O
0.151 0.730 0.383 O
0.311 0.080 0.287 O
0.311 0.920 0.787 O
0.369 0.375 0.728 O
0.369 0.625 0.228 O
0.595 0.220 0.131 O
0.595 0.780 0.631 O
0.653 0.403 0.478 O
0.653 0.597 0.978 O
0.750 0.158 0.908 O
0.750 0.842 0.408 O
0.912 0.350 0.149 O
0.912 0.650 0.649 O
```

Entry 2:
A relaxed structure of FePO4. Source: Materials Project, functional PBE+U.

The space group is No. 152. The calculation puts the formation energy at -2.327 eV per atom. For the calculated total energy, the calculation gives -7.11 eV/atom. The energy with MP2020 corrections comes out at -142.92 eV/cell.

```
FePO4
1.0
5.200 0.000 0.000
-2.600 4.503 0.000
0.000 0.000 11.549
Fe P O
3 3 12
direct
0.000 0.466 0.167 Fe
0.466 0.000 0.833 Fe
0.534 0.534 0.500 Fe
0.000 0.466 0.667 P
0.466 0.000 0.333 P
0.534 0.534 0.000 P
0.116 0.697 0.766 O
0.166 0.750 0.287 O
0.250 0.417 0.620 O
0.303 0.419 0.099 O
0.417 0.250 0.380 O
0.419 0.303 0.901 O
0.581 0.884 0.433 O
0.583 0.834 0.953 O
0.697 0.116 0.234 O
0.750 0.166 0.713 O
0.834 0.583 0.047 O
0.884 0.581 0.567 O
```

Entry 3:
A relaxed structure of FeP4O13. Source: Materials Project, functional PBE+U.

Its size of the total moment is 0.33 μB per atom. The space group is No. 2. The calculation puts the formation energy at -2.109 eV per atom. For the calculated total energy, the calculation gives -6.73 eV/atom. The energy with MP2020 corrections comes out at -264.81 eV/cell.

```
FeP4O13
1.0
5.325 0.000 0.000
1.209 8.043 0.000
1.497 1.826 13.569
Fe P O
2 8 26
direct
0.066 0.446 0.241 Fe
0.934 0.554 0.759 Fe
0.146 0.919 0.685 P
0.208 0.827 0.199 P
0.376 0.711 0.857 P
0.500 0.399 0.654 P
0.500 0.601 0.346 P
0.624 0.289 0.143 P
0.792 0.173 0.801 P
0.854 0.081 0.315 P
0.017 0.915 0.283 O
0.025 0.215 0.312 O
0.092 0.680 0.177 O
0.214 0.575 0.844 O
0.217 0.461 0.664 O
0.251 0.773 0.954 O
0.268 0.962 0.118 O
0.284 0.975 0.587 O
0.332 0.469 0.335 O
0.341 0.351 0.146 O
0.346 0.863 0.767 O
0.403 0.668 0.444 O
0.456 0.757 0.258 O
0.544 0.243 0.742 O
0.597 0.332 0.556 O
0.654 0.137 0.233 O
0.659 0.649 0.854 O
0.668 0.531 0.665 O
0.716 0.025 0.413 O
0.732 0.038 0.882 O
0.749 0.227 0.046 O
0.783 0.539 0.336 O
0.786 0.425 0.156 O
0.908 0.320 0.823 O
0.975 0.785 0.688 O
0.983 0.085 0.717 O
```

Entry 4:
A relaxed structure of Fe4P3O12. Source: Materials Project, functional PBE+U.

Its size of the total moment is 0.89 μB per atom. The space group is No. 62. The calculation puts the formation energy at -2.207 eV per atom. For the calculated total energy, the calculation gives -7.06 eV/atom. The energy with MP2020 corrections comes out at -605.73 eV/cell. The energy relative to the lowest polymorph listed for this composition is 1.880 kcal/mol of atoms.

```
Fe4P3O12
1.0
6.178 0.000 0.000
0.000 14.843 0.000
0.000 0.000 10.145
Fe P O
16 12 48
direct
0.138 0.113 0.072 Fe
0.138 0.387 0.072 Fe
0.146 0.113 0.652 Fe
0.146 0.387 0.652 Fe
0.354 0.613 0.152 Fe
0.354 0.887 0.152 Fe
0.362 0.613 0.572 Fe
0.362 0.887 0.572 Fe
0.638 0.113 0.428 Fe
0.638 0.387 0.428 Fe
0.646 0.113 0.848 Fe
0.646 0.387 0.848 Fe
0.854 0.613 0.348 Fe
0.854 0.887 0.348 Fe
0.862 0.613 0.928 Fe
0.862 0.887 0.928 Fe
0.004 0.250 0.899 P
0.141 0.070 0.367 P
0.141 0.430 0.367 P
0.359 0.570 0.867 P
0.359 0.930 0.867 P
0.496 0.750 0.399 P
0.504 0.250 0.601 P
0.641 0.070 0.133 P
0.641 0.430 0.133 P
0.859 0.570 0.633 P
0.859 0.930 0.633 P
0.996 0.750 0.101 P
0.040 0.605 0.537 O
0.040 0.895 0.537 O
0.065 0.250 0.048 O
0.077 0.519 0.299 O
0.077 0.981 0.299 O
0.098 0.160 0.846 O
0.098 0.340 0.846 O
0.163 0.558 0.968 O
0.163 0.942 0.968 O
0.205 0.137 0.260 O
0.205 0.363 0.260 O
0.246 0.750 0.119 O
0.254 0.250 0.619 O
0.295 0.637 0.760 O
0.295 0.863 0.760 O
0.337 0.058 0.468 O
0.337 0.442 0.468 O
0.402 0.660 0.346 O
0.402 0.840 0.346 O
0.423 0.019 0.799 O
0.423 0.481 0.799 O
0.435 0.750 0.548 O
0.460 0.105 0.037 O
0.460 0.395 0.037 O
0.540 0.605 0.963 O
0.540 0.895 0.963 O
0.565 0.250 0.452 O
0.577 0.519 0.201 O
0.577 0.981 0.201 O
0.598 0.160 0.654 O
0.598 0.340 0.654 O
0.663 0.558 0.532 O
0.663 0.942 0.532 O
0.705 0.137 0.240 O
0.705 0.363 0.240 O
0.746 0.750 0.381 O
0.754 0.250 0.881 O
0.795 0.637 0.740 O
0.795 0.863 0.740 O
0.837 0.058 0.032 O
0.837 0.442 0.032 O
0.902 0.660 0.154 O
0.902 0.840 0.154 O
0.923 0.019 0.701 O
0.923 0.481 0.701 O
0.935 0.750 0.952 O
0.960 0.105 0.463 O
0.960 0.395 0.463 O
```

Entry 5:
A relaxed structure of FePO4. Source: Materials Project, functional PBE+U.

Its size of the total moment is 0.83 μB per atom. The space group is No. 1. The calculation puts the formation energy at -2.321 eV per atom. For the calculated total energy, the calculation gives -7.10 eV/atom. The energy with MP2020 corrections comes out at -142.80 eV/cell.

```
FePO4
1.0
5.126 0.000 0.000
-2.554 4.477 0.000
-0.099 -0.070 11.638
Fe P O
3 3 12
direct
0.000 0.000 0.000 Fe
0.059 0.529 0.665 Fe
0.528 0.460 0.333 Fe
0.068 0.538 0.168 P
0.526 0.459 0.832 P
0.988 0.994 0.499 P
0.115 0.883 0.596 O
0.119 0.844 0.126 O
0.214 0.117 0.399 O
0.265 0.155 0.873 O
0.375 0.583 0.212 O
0.417 0.588 0.735 O
0.645 0.678 0.935 O
0.684 0.734 0.455 O
0.775 0.405 0.785 O
0.839 0.423 0.267 O
0.930 0.240 0.547 O
0.957 0.314 0.067 O
```

Entry 6:
A relaxed structure of FePO4. Source: Materials Project, functional PBE+U.

Its size of the total moment is 0.83 μB per atom. The space group is No. 14. The calculation puts the formation energy at -2.257 eV per atom. For the calculated total energy, the calculation gives -7.04 eV/atom. The energy with MP2020 corrections comes out at -188.88 eV/cell.

```
FePO4
1.0
5.360 0.000 0.000
0.000 8.657 0.000
-3.363 0.000 7.228
Fe P O
4 4 16
direct
0.249 0.031 0.290 Fe
0.249 0.469 0.790 Fe
0.751 0.531 0.210 Fe
0.751 0.969 0.710 Fe
0.304 0.688 0.185 P
0.304 0.812 0.685 P
0.696 0.188 0.315 P
0.696 0.312 0.815 P
0.096 0.603 0.237 O
0.096 0.897 0.737 O
0.212 0.644 0.632 O
0.212 0.856 0.132 O
0.342 0.597 0.025 O
0.342 0.903 0.525 O
0.396 0.178 0.163 O
0.396 0.322 0.663 O
0.604 0.678 0.337 O
0.604 0.822 0.837 O
0.658 0.097 0.475 O
0.658 0.403 0.975 O
0.788 0.144 0.868 O
0.788 0.356 0.368 O
0.904 0.103 0.263 O
0.904 0.397 0.763 O
```

Entry 7:
A relaxed structure of Fe3P8O37. Source: Materials Project, functional PBE+U.

Its size of the total moment is 0.01 μB per atom. The space group is No. 15. The calculation puts the formation energy at -0.913 eV per atom. For the calculated total energy, the calculation gives -5.89 eV/atom. The energy with MP2020 corrections comes out at -591.27 eV/cell.

```
Fe3P8O37
1.0
8.621 -4.799 0.000
8.621 4.799 0.000
-0.366 0.000 16.997
Fe P O
6 16 74
direct
0.162 0.838 0.750 Fe
0.263 0.313 0.262 Fe
0.313 0.263 0.762 Fe
0.687 0.737 0.238 Fe
0.737 0.687 0.738 Fe
0.838 0.162 0.250 Fe
0.030 0.603 0.143 P
0.076 0.597 0.680 P
0.120 0.125 0.645 P
0.125 0.120 0.145 P
0.370 0.511 0.861 P
0.397 0.970 0.357 P
0.403 0.924 0.820 P
0.489 0.630 0.639 P
0.511 0.370 0.361 P
0.597 0.076 0.180 P
0.603 0.030 0.643 P
0.630 0.489 0.139 P
0.875 0.880 0.855 P
0.880 0.875 0.355 P
0.924 0.403 0.320 P
0.970 0.397 0.857 P
0.021 0.758 0.121 O
0.024 0.070 0.190 O
0.030 0.728 0.387 O
0.045 0.211 0.066 O
0.063 0.755 0.675 O
0.070 0.024 0.690 O
0.070 0.413 0.329 O
0.078 0.516 0.062 O
0.124 0.376 0.825 O
0.124 0.546 0.538 O
0.159 0.230 0.196 O
0.163 0.772 0.983 O
0.170 0.506 0.202 O
0.196 0.406 0.517 O
0.211 0.045 0.566 O
0.228 0.837 0.517 O
0.230 0.159 0.696 O
0.234 0.449 0.693 O
0.242 0.979 0.379 O
0.244 0.647 0.809 O
0.245 0.937 0.825 O
0.272 0.970 0.113 O
0.295 0.705 0.250 O
0.316 0.529 0.949 O
0.346 0.408 0.330 O
0.353 0.756 0.691 O
0.376 0.124 0.325 O
0.406 0.196 0.017 O
0.408 0.346 0.830 O
0.413 0.070 0.829 O
0.449 0.234 0.193 O
0.454 0.876 0.962 O
0.471 0.684 0.551 O
0.473 0.493 0.129 O
0.484 0.922 0.438 O
0.493 0.473 0.629 O
0.494 0.830 0.298 O
0.506 0.170 0.702 O
0.507 0.527 0.371 O
0.516 0.078 0.562 O
0.527 0.507 0.871 O
0.529 0.316 0.449 O
0.546 0.124 0.038 O
0.551 0.766 0.807 O
0.587 0.930 0.171 O
0.592 0.654 0.170 O
0.594 0.804 0.983 O
0.624 0.876 0.675 O
0.647 0.244 0.309 O
0.654 0.592 0.670 O
0.684 0.471 0.051 O
0.705 0.295 0.750 O
0.728 0.030 0.887 O
0.755 0.063 0.175 O
0.756 0.353 0.191 O
0.758 0.021 0.621 O
0.766 0.551 0.307 O
0.770 0.841 0.304 O
0.772 0.163 0.483 O
0.789 0.955 0.434 O
0.804 0.594 0.483 O
0.830 0.494 0.798 O
0.837 0.228 0.017 O
0.841 0.770 0.804 O
0.876 0.454 0.462 O
0.876 0.624 0.175 O
0.922 0.484 0.938 O
0.930 0.587 0.671 O
0.930 0.976 0.310 O
0.937 0.245 0.325 O
0.955 0.789 0.934 O
0.970 0.272 0.613 O
0.976 0.930 0.810 O
0.979 0.242 0.879 O
```

Entry 8:
A relaxed structure of Fe3P4O14. Source: Materials Project, functional PBE+U.

Its size of the total moment is 0.67 μB per atom. The space group is No. 14. The calculation puts the formation energy at -2.366 eV per atom. For the calculated total energy, the calculation gives -7.13 eV/atom. The energy with MP2020 corrections comes out at -332.05 eV/cell. The energy relative to the lowest polymorph listed for this composition is 0.959 kcal/mol of atoms.

```
Fe3P4O14
1.0
7.302 0.000 0.000
0.000 7.896 0.000
-3.434 0.000 8.889
Fe P O
6 8 28
direct
0.000 0.000 0.000 Fe
0.000 0.500 0.500 Fe
0.194 0.135 0.529 Fe
0.194 0.365 0.029 Fe
0.806 0.635 0.971 Fe
0.806 0.865 0.471 Fe
0.116 0.711 0.804 P
0.116 0.789 0.304 P
0.403 0.052 0.295 P
0.403 0.448 0.795 P
0.597 0.552 0.205 P
0.597 0.948 0.705 P
0.884 0.211 0.696 P
0.884 0.289 0.196 P
0.006 0.216 0.866 O
0.006 0.284 0.366 O
0.034 0.579 0.890 O
0.034 0.921 0.390 O
0.147 0.621 0.382 O
0.147 0.879 0.882 O
0.282 0.130 0.140 O
0.282 0.370 0.640 O
0.319 0.636 0.805 O
0.319 0.864 0.305 O
0.370 0.157 0.419 O
0.370 0.343 0.919 O
0.382 0.516 0.179 O
0.382 0.984 0.679 O
0.618 0.016 0.321 O
0.618 0.484 0.821 O
0.630 0.657 0.081 O
0.630 0.843 0.581 O
0.681 0.136 0.695 O
0.681 0.364 0.195 O
0.718 0.630 0.360 O
0.718 0.870 0.860 O
0.853 0.121 0.118 O
0.853 0.379 0.618 O
0.966 0.079 0.610 O
0.966 0.421 0.110 O
0.994 0.716 0.634 O
0.994 0.784 0.134 O
```